# 1
# NaLaNbP3O12

A relaxed structure of NaLaNbP3O12 (PBE, the Materials Project database).

Results
The calculated density comes out at 3.104 g/cm³. For the energy of formation, the calculation gives -2.94 eV per atom.

Cell lengths 9.2145, 9.2145, 23.5568 Å; angles 90.00, 90.00, 120.00 degrees
Positions (direct):
Na 0.0000 0.0000 0.5011
Na 0.0000 0.0000 0.0011
Na 0.6667 0.3333 0.8345
Na 0.6667 0.3333 0.3345
Na 0.3333 0.6667 0.1678
Na 0.3333 0.6667 0.6678
La 0.0000 0.0000 0.3549
La 0.0000 0.0000 0.8549
La 0.6667 0.3333 0.6883
La 0.6667 0.3333 0.1883
La 0.3333 0.6667 0.0216
La 0.3333 0.6667 0.5216
Nb 0.0000 0.0000 0.6485
Nb 0.0000 0.0000 0.1485
Nb 0.6667 0.3333 0.9819
Nb 0.6667 0.3333 0.4819
Nb 0.3333 0.6667 0.3152
Nb 0.3333 0.6667 0.8152
P 0.2818 0.9769 0.2498
P 0.6950 0.7182 0.2498
P 0.0231 0.3050 0.2498
P 0.2818 0.3050 0.7498
P 0.0231 0.7182 0.7498
P 0.6950 0.9769 0.7498
P 0.9485 0.3102 0.5831
P 0.3617 0.0515 0.5831
P 0.6898 0.6383 0.5831
P 0.9485 0.6383 0.0831
P 0.6898 0.0515 0.0831
P 0.3617 0.3102 0.0831
P 0.6152 0.6435 0.9165
P 0.0284 0.3848 0.9165
P 0.3565 0.9716 0.9165
P 0.6152 0.9716 0.4165
P 0.3565 0.3848 0.4165
P 0.0284 0.6435 0.4165
O 0.2089 0.0042 0.3030
O 0.7953 0.7911 0.3030
O 0.9958 0.2047 0.3030
O 0.2089 0.2047 0.8030
O 0.9958 0.7911 0.8030
O 0.7953 0.0042 0.8030
O 0.7996 0.9636 0.6965
O 0.1639 0.2004 0.6965
O 0.0364 0.8361 0.6965
O 0.7996 0.8361 0.1965
O 0.0364 0.2004 0.1965
O 0.1639 0.9636 0.1965
O 0.8756 0.3376 0.6363
O 0.4620 0.1244 0.6363
O 0.6624 0.5380 0.6363
O 0.8756 0.5380 0.1363
O 0.6624 0.1244 0.1363
O 0.4620 0.3376 0.1363
O 0.4663 0.2969 0.0299
O 0.8306 0.5337 0.0299
O 0.7031 0.1694 0.0299
O 0.4663 0.1694 0.5299
O 0.7031 0.5337 0.5299
O 0.8306 0.2969 0.5299
O 0.5423 0.6709 0.9696
O 0.1286 0.4577 0.9696
O 0.3291 0.8714 0.9696
O 0.5423 0.8714 0.4696
O 0.3291 0.4577 0.4696
O 0.1286 0.6709 0.4696
O 0.1330 0.6302 0.3632
O 0.4973 0.8670 0.3632
O 0.3698 0.5027 0.3632
O 0.1330 0.5027 0.8632
O 0.3698 0.8670 0.8632
O 0.4973 0.6302 0.8632
O 0.9908 0.7845 0.4092
O 0.7936 0.0092 0.4092
O 0.2155 0.2064 0.4092
O 0.9908 0.2064 0.9092
O 0.2155 0.0092 0.9092
O 0.7936 0.7845 0.9092
O 0.9523 0.1405 0.5899
O 0.1883 0.0477 0.5899
O 0.8595 0.8117 0.5899
O 0.9523 0.8117 0.0899
O 0.8595 0.0477 0.0899
O 0.1883 0.1405 0.0899
O 0.6575 0.1178 0.7426
O 0.4603 0.3425 0.7426
O 0.8822 0.5397 0.7426
O 0.6575 0.5397 0.2426
O 0.8822 0.3425 0.2426
O 0.4603 0.1178 0.2426
O 0.6190 0.4739 0.9233
O 0.8549 0.3810 0.9233
O 0.5261 0.1451 0.9233
O 0.6190 0.1451 0.4233
O 0.5261 0.3810 0.4233
O 0.8549 0.4739 0.4233
O 0.3242 0.4511 0.0759
O 0.1270 0.6758 0.0759
O 0.5489 0.8730 0.0759
O 0.3242 0.8730 0.5759
O 0.5489 0.6758 0.5759
O 0.1270 0.4511 0.5759
O 0.2856 0.8072 0.2566
O 0.5216 0.7144 0.2566
O 0.1928 0.4784 0.2566
O 0.2856 0.4784 0.7566
O 0.1928 0.7144 0.7566
O 0.5216 0.8072 0.7566

---

# 2
# Na2La3Nb5P12O48

A relaxed structure of Na2La3Nb5P12O48 (PBE, the Materials Project database).

Results
The calculated density comes out at 3.106 g/cm³. For the energy of formation, the calculation gives -2.97 eV per atom.

Cell lengths 18.0406, 9.0303, 23.4879 Å; angles 89.96, 90.10, 119.96 degrees
Positions (direct):
Na 0.3317 0.3295 0.8323
Na 0.8350 0.3376 0.8328
Na 0.3329 0.3286 0.3312
Na 0.8333 0.3387 0.3292
Na 0.6665 0.6656 0.1656
Na 0.1655 0.6644 0.6647
La 0.9907 0.9970 0.3633
La 0.3409 0.3351 0.6920
La 0.8255 0.3293 0.6893
La 0.3298 0.3304 0.1881
La 0.8353 0.3336 0.1856
La 0.6665 0.6669 0.0102
La 0.1740 0.6809 0.5165
La 0.6699 0.6686 0.3119
La 0.1660 0.6666 0.8124
Nb 0.5034 0.0044 0.3573
Nb 0.0033 0.0024 0.8566
Nb 0.4965 0.9965 0.8566
Nb 0.9963 0.9962 0.6421
Nb 0.5046 0.0056 0.6418
Nb 0.0049 0.0043 0.1460
Nb 0.4958 0.9963 0.1437
Nb 0.3362 0.3382 0.9850
Nb 0.8308 0.3273 0.9846
Nb 0.3308 0.3348 0.4819
Nb 0.8373 0.3376 0.4842
Nb 0.1659 0.6660 0.0160
Nb 0.6625 0.6632 0.5178
Nb 0.1664 0.6651 0.3108
Nb 0.6678 0.6678 0.8114
P 0.1396 0.9834 0.2522
P 0.6349 0.9955 0.2500
P 0.3585 0.7269 0.2552
P 0.8531 0.7192 0.2445
P 0.0102 0.2998 0.2502
P 0.5014 0.2747 0.2497
P 0.1353 0.2729 0.7493
P 0.6344 0.2853 0.7542
P 0.0006 0.7280 0.7491
P 0.5088 0.7331 0.7540
P 0.3632 0.9908 0.7487
P 0.8581 0.9904 0.7547
P 0.4806 0.3292 0.5795
P 0.9778 0.3268 0.5866
P 0.1831 0.0509 0.5850
P 0.6865 0.0339 0.5817
P 0.3408 0.6322 0.5866
P 0.8315 0.6300 0.5801
P 0.4800 0.6343 0.0853
P 0.9828 0.6353 0.0789
P 0.3319 0.0342 0.0799
P 0.8401 0.0376 0.0840
P 0.1857 0.3377 0.0807
P 0.6788 0.3184 0.0828
P 0.3151 0.6624 0.9187
P 0.8160 0.6584 0.9120
P 0.0154 0.3677 0.9185
P 0.5138 0.3703 0.9120
P 0.1705 0.9706 0.9186
P 0.6698 0.9712 0.9121
P 0.3162 0.9747 0.4114
P 0.8065 0.9658 0.4238
P 0.1788 0.3881 0.4154
P 0.6695 0.3715 0.4196
P 0.0141 0.6376 0.4148
P 0.5162 0.6631 0.4187
O 0.0975 0.0078 0.3032
O 0.5866 0.9926 0.3060
O 0.4154 0.8253 0.3071
O 0.8950 0.8016 0.3004
O 0.5074 0.1774 0.3031
O 0.9952 0.1987 0.3038
O 0.0866 0.1802 0.8058
O 0.5819 0.1738 0.8046
O 0.5014 0.8264 0.8070
O 0.0069 0.8366 0.8032
O 0.4083 0.9768 0.8035
O 0.9141 0.0044 0.8071
O 0.4159 0.9962 0.6944
O 0.8975 0.9710 0.6990
O 0.0812 0.1679 0.6964
O 0.5895 0.2058 0.6968
O 0.9974 0.8223 0.6937
O 0.5182 0.8365 0.6991
O 0.3994 0.8247 0.1988
O 0.9139 0.8331 0.1921
O 0.0182 0.2016 0.1963
O 0.4975 0.1732 0.1937
O 0.0892 0.9742 0.1950
O 0.5814 0.9948 0.1962
O 0.4547 0.3790 0.6336
O 0.9377 0.3542 0.6388
O 0.2370 0.1329 0.6367
O 0.7371 0.0846 0.6362
O 0.3296 0.5315 0.6396
O 0.8060 0.5226 0.6332
O 0.4434 0.5267 0.1380
O 0.9565 0.5271 0.1313
O 0.3057 0.0911 0.1321
O 0.8225 0.1063 0.1376
O 0.2387 0.3934 0.1341
O 0.7324 0.3507 0.1355
O 0.2371 0.3100 0.0313
O 0.7319 0.3013 0.0297
O 0.4209 0.5291 0.0323
O 0.9161 0.5329 0.0288
O 0.3494 0.1646 0.0295
O 0.8453 0.1619 0.0320
O 0.2322 0.1630 0.5301
O 0.7335 0.1632 0.5331
O 0.3471 0.5324 0.5331
O 0.8506 0.5373 0.5305
O 0.4163 0.2952 0.5299
O 0.9199 0.3098 0.5330
O 0.2660 0.6917 0.9673
O 0.7913 0.7109 0.9660
O 0.0801 0.4679 0.9671
O 0.5637 0.4165 0.9664
O 0.1551 0.8417 0.9671
O 0.6436 0.8711 0.9664
O 0.2940 0.8770 0.4667
O 0.7475 0.8356 0.4695
O 0.1666 0.4559 0.4702
O 0.6527 0.4675 0.4682
O 0.0616 0.6644 0.4697
O 0.5764 0.6890 0.4695
O 0.0656 0.6205 0.3629
O 0.5446 0.6141 0.3648
O 0.2512 0.8770 0.3628
O 0.7628 0.9144 0.3662
O 0.1899 0.5074 0.3635
O 0.6932 0.4733 0.3648
O 0.0423 0.4725 0.8644
O 0.5643 0.4995 0.8629
O 0.1952 0.9163 0.8643
O 0.6848 0.8708 0.8631
O 0.2636 0.6119 0.8641
O 0.7501 0.6298 0.8629
O 0.9931 0.7764 0.4052
O 0.5066 0.8238 0.4097
O 0.4072 0.0086 0.3946
O 0.8930 0.9828 0.4314
O 0.1099 0.2047 0.4058
O 0.5893 0.1912 0.4099
O 0.0070 0.1889 0.9097
O 0.4959 0.1881 0.8951
O 0.0892 0.9871 0.9094
O 0.5958 0.0056 0.8955
O 0.4051 0.8239 0.9102
O 0.9063 0.8071 0.8947
O 0.4908 0.1681 0.5906
O 0.9758 0.1516 0.5944
O 0.0938 0.0423 0.5918
O 0.5987 0.0261 0.5932
O 0.4275 0.8105 0.5943
O 0.9129 0.8064 0.5908
O 0.4762 0.8023 0.0925
O 0.9922 0.8133 0.0885
O 0.4126 0.0194 0.0897
O 0.9272 0.0409 0.0917
O 0.0993 0.1729 0.0901
O 0.5916 0.1470 0.0905
O 0.3624 0.1574 0.7556
O 0.8446 0.1434 0.7560
O 0.2214 0.2808 0.7536
O 0.7234 0.3074 0.7579
O 0.4309 0.5555 0.7561
O 0.9184 0.5563 0.7547
O 0.3468 0.5479 0.2558
O 0.8442 0.5427 0.2440
O 0.4192 0.2823 0.2547
O 0.9391 0.3420 0.2444
O 0.2318 0.1273 0.2472
O 0.7216 0.1585 0.2535
O 0.3304 0.5126 0.9362
O 0.8231 0.4939 0.9206
O 0.4238 0.3553 0.9206
O 0.9258 0.3396 0.9366
O 0.2455 0.1510 0.9361
O 0.7526 0.1494 0.9212
O 0.3239 0.1548 0.4214
O 0.8139 0.1410 0.4386
O 0.2647 0.3778 0.4235
O 0.7458 0.3466 0.4373
O 0.4275 0.5102 0.4367
O 0.9234 0.4659 0.4218
O 0.1698 0.4850 0.0602
O 0.6617 0.4630 0.0731
O 0.0717 0.6610 0.0586
O 0.5708 0.6752 0.0757
O 0.2574 0.8559 0.0600
O 0.7685 0.8589 0.0730
O 0.1646 0.8682 0.5801
O 0.6652 0.8498 0.5645
O 0.2699 0.6750 0.5816
O 0.7575 0.6604 0.5607
O 0.0696 0.4676 0.5791
O 0.5702 0.4770 0.5618
O 0.1428 0.8120 0.2601
O 0.6382 0.8312 0.2457
O 0.2705 0.7182 0.2649
O 0.7683 0.7149 0.2353
O 0.0973 0.4751 0.2584
O 0.5829 0.4471 0.2455
O 0.1403 0.4463 0.7458
O 0.6415 0.4656 0.7638
O 0.0823 0.7178 0.7454
O 0.5916 0.7189 0.7640
O 0.2755 0.8316 0.7435
O 0.7685 0.8216 0.7654

---

# 3
# Na4La3NbP6O24

A relaxed structure of Na4La3NbP6O24 (PBE, the Materials Project database).

Results
The calculated density comes out at 3.197 g/cm³. For the energy of formation, the calculation gives -3.02 eV per atom.

Cell lengths 9.4200, 9.4154, 23.7717 Å; angles 89.97, 90.14, 120.04 degrees
Positions (direct):
Na 0.6386 0.9972 0.2536
Na 0.3633 0.3631 0.2524
Na 0.9978 0.6392 0.2516
Na 0.2986 0.3376 0.5834
Na 0.0369 0.6959 0.5841
Na 0.6608 0.7051 0.0747
Na 0.9879 0.0010 0.4989
Na 0.0136 0.0154 0.9973
Na 0.6666 0.3347 0.8317
Na 0.6666 0.3331 0.3392
Na 0.3198 0.6690 0.1638
Na 0.3511 0.6854 0.6750
La 0.0011 0.9981 0.3549
La 0.9995 0.9970 0.8527
La 0.9879 0.0002 0.6576
La 0.0118 0.0116 0.1422
La 0.6664 0.3268 0.6909
La 0.6662 0.3261 0.1771
La 0.3214 0.6654 0.0129
La 0.3448 0.6780 0.5143
La 0.3350 0.6676 0.3305
Nb 0.6670 0.3298 0.9774
Nb 0.6665 0.3291 0.4834
Nb 0.3303 0.6643 0.8202
P 0.3026 0.9942 0.2505
P 0.6934 0.6988 0.2465
P 0.0069 0.3083 0.2509
P 0.3012 0.3205 0.7525
P 0.0190 0.6977 0.7520
P 0.6768 0.9795 0.7565
P 0.9558 0.3282 0.5800
P 0.3681 0.0474 0.5808
P 0.6742 0.6207 0.5812
P 0.9504 0.6267 0.0781
P 0.6743 0.0404 0.0765
P 0.3774 0.3302 0.0765
P 0.6183 0.6457 0.9198
P 0.0240 0.3774 0.9165
P 0.3550 0.9752 0.9165
P 0.6486 0.9958 0.4165
P 0.3473 0.3543 0.4216
P 0.0065 0.6512 0.4214
O 0.2180 0.0155 0.3021
O 0.8060 0.7905 0.2965
O 0.9875 0.2024 0.3023
O 0.2037 0.1996 0.7984
O 0.9948 0.7939 0.7982
O 0.7929 0.0047 0.8041
O 0.7415 0.9502 0.6999
O 0.2114 0.2625 0.6946
O 0.0469 0.7868 0.6941
O 0.7717 0.7947 0.1913
O 0.0253 0.2246 0.1975
O 0.2007 0.9774 0.1971
O 0.8767 0.3461 0.6333
O 0.4625 0.1259 0.6345
O 0.6589 0.5257 0.6349
O 0.8781 0.5509 0.1360
O 0.6703 0.1116 0.1344
O 0.4505 0.3310 0.1348
O 0.4942 0.3266 0.0286
O 0.8366 0.5053 0.0295
O 0.6708 0.1561 0.0281
O 0.4818 0.1547 0.5296
O 0.6780 0.5118 0.5301
O 0.8427 0.3210 0.5288
O 0.5567 0.6710 0.9761
O 0.1161 0.4412 0.9716
O 0.3299 0.8849 0.9716
O 0.5473 0.8745 0.4626
O 0.3292 0.4468 0.4716
O 0.1173 0.6693 0.4714
O 0.0788 0.6293 0.3653
O 0.5613 0.9328 0.3587
O 0.3724 0.4500 0.3655
O 0.1287 0.5020 0.8678
O 0.3702 0.8690 0.8676
O 0.4920 0.6277 0.8717
O 0.9758 0.7959 0.4200
O 0.8233 0.0261 0.4183
O 0.2018 0.1798 0.4196
O 0.9897 0.2049 0.9062
O 0.2176 0.0119 0.9071
O 0.7908 0.7841 0.9086
O 0.9760 0.1750 0.5797
O 0.2047 0.0509 0.5784
O 0.8374 0.7868 0.5797
O 0.9429 0.7867 0.0711
O 0.8319 0.0295 0.0702
O 0.2078 0.1771 0.0695
O 0.6404 0.1205 0.7535
O 0.4786 0.3560 0.7510
O 0.8775 0.5198 0.7510
O 0.6696 0.5225 0.2463
O 0.8538 0.3304 0.2484
O 0.4784 0.1464 0.2484
O 0.6263 0.4792 0.9248
O 0.8522 0.3726 0.9229
O 0.5223 0.1480 0.9224
O 0.6547 0.1633 0.4282
O 0.5082 0.3437 0.4303
O 0.8355 0.4894 0.4296
O 0.3770 0.4935 0.0741
O 0.1241 0.6535 0.0770
O 0.5251 0.8654 0.0751
O 0.3291 0.8674 0.5771
O 0.5189 0.6356 0.5762
O 0.1279 0.4843 0.5749
O 0.3160 0.8358 0.2546
O 0.5214 0.6840 0.2534
O 0.1638 0.4818 0.2551
O 0.3089 0.4906 0.7681
O 0.1826 0.6919 0.7669
O 0.5072 0.8150 0.7686

---

- Which formula does entry 2 have?
  Na2La3Nb5P12O48